Record 1
Material: Rb2NbCuS4
Method: DFT, PBE-GGA
State: optimized geometry

Cell lengths 13.9899, 12.4773, 7.4668 Å; angles 85.16, 62.71, 32.13 degrees
Closest atoms and distances in Å follow each position.
Fractional coordinates of all 16 atoms:
Rb (0.5486, 0.5532, 0.2046)  8 S 3.50-3.75
Rb (0.1953, 0.2034, 0.5542)  8 S 3.49-3.79
Rb (0.4417, 0.4523, 0.8121)  8 S 3.49-3.74
Rb (0.7967, 0.8110, 0.4513)  8 S 3.45-3.72
Nb (0.6331, 0.6178, 0.6153)  4 S 2.23-2.36
Nb (0.3825, 0.3704, 0.3670)  4 S 2.30-2.34
Cu (0.1323, 0.1209, 0.1179)  4 S 2.32-2.41
Cu (0.8659, 0.8836, 0.8841)  4 S 2.35-2.40
S (0.1823, 0.4624, 0.7634)  1 Nb 2.33, 1 Cu 2.40
S (0.0794, 0.7772, 0.4747)  1 Nb 2.34, 1 Cu 2.37
S (0.7712, 0.0893, 0.1741)  1 Nb 2.30, 1 Cu 2.36
S (0.4631, 0.1765, 0.0952)  1 Nb 2.31, 1 Cu 2.35
S (0.5316, 0.8247, 0.9167)  1 Cu 2.32, 1 Nb 2.36
S (0.9015, 0.2404, 0.5368)  1 Nb 2.26, 1 Cu 2.41
S (0.2405, 0.9034, 0.8236)  1 Nb 2.29, 1 Cu 2.34
S (0.8189, 0.5354, 0.2398)  1 Nb 2.23, 1 Cu 2.35

## Properties
Total magnetization: 0.000 μB per cell
Energy above the most stable polymorph in this dataset: 12.0 meV/atom
Raw total energy: -41.1 eV/f.u.

Record 2
Material: Te2Mo3S4
Method: DFT, PBE-GGA
State: optimized geometry

Cell lengths 3.3012, 3.3012, 30.4614 Å; angles 90.00, 90.00, 120.00 degrees
Closest atoms and distances in Å follow each position.
Fractional coordinates of all 9 atoms:
Te (0.3333, 0.6667, 0.5154)  3 Mo 2.70
Te (0.3333, 0.6667, 0.6412)  3 Mo 2.70
Mo (0.0000, 0.0000, 0.1156)  6 S 2.44
Mo (0.0000, 0.0000, 0.5784)  6 Te 2.70
Mo (0.3333, 0.6667, 0.3470)  6 S 2.44
S (0.0000, 0.0000, 0.3972)  3 Mo 2.44
S (0.3333, 0.6667, 0.0654)  3 Mo 2.44
S (0.3333, 0.6667, 0.1659)  3 Mo 2.44
S (0.0000, 0.0000, 0.2967)  3 Mo 2.44

## Properties
Total magnetization: 0.000 μB per cell
Raw total energy: -60.8 eV/f.u.

Record 3
Material: K2Si4SbO11
Method: DFT, PBE-GGA
State: optimized geometry

Cell lengths 10.9712, 6.5130, 15.6969 Å; angles 78.85, 90.00, 90.00 degrees
Closest atoms and distances in Å follow each position.
Fractional coordinates of all 72 atoms:
K (0.5272, 0.2919, 0.9301)  2 O 2.60-2.83
K (0.9728, 0.2919, 0.4301)  2 O 2.60-2.83
K (0.4728, 0.7081, 0.0699)  2 O 2.60-2.83
K (0.0272, 0.7081, 0.5699)  2 O 2.60-2.83
K (0.9086, 0.3041, 0.9197)  4 O 2.73-2.96
K (0.5914, 0.3041, 0.4197)  4 O 2.73-2.96
K (0.0914, 0.6959, 0.0803)  4 O 2.73-2.96
K (0.4086, 0.6959, 0.5803)  4 O 2.73-2.96
Si (0.2900, 0.5281, 0.2883)  4 O 1.61-1.65
Si (0.2100, 0.5281, 0.7883)  4 O 1.61-1.65
Si (0.7100, 0.4719, 0.7117)  4 O 1.61-1.65
Si (0.7900, 0.4719, 0.2117)  4 O 1.61-1.65
Si (0.0785, 0.8421, 0.3180)  4 O 1.62-1.64
Si (0.4215, 0.8421, 0.8180)  4 O 1.62-1.64
Si (0.9215, 0.1579, 0.6820)  4 O 1.62-1.64
Si (0.5785, 0.1579, 0.1820)  4 O 1.62-1.64
Si (0.2660, 0.0905, 0.4100)  4 O 1.62-1.65
Si (0.2340, 0.0905, 0.9100)  4 O 1.62-1.65
Si (0.7340, 0.9095, 0.5900)  4 O 1.62-1.65
Si (0.7660, 0.9095, 0.0900)  4 O 1.62-1.65
Si (0.4755, 0.8493, 0.3442)  4 O 1.62-1.65
Si (0.0245, 0.8493, 0.8442)  4 O 1.62-1.65
Si (0.5245, 0.1507, 0.6558)  4 O 1.62-1.65
Si (0.9755, 0.1507, 0.1558)  4 O 1.62-1.65
Sb (0.2817, 0.2722, 0.0981)  1 O 1.87
Sb (0.2183, 0.2722, 0.5981)  1 O 1.87
Sb (0.7183, 0.7278, 0.9019)  1 O 1.87
Sb (0.7817, 0.7278, 0.4019)  1 O 1.87
O (0.4034, 0.6946, 0.2904)  2 Si 1.64-1.65
O (0.0966, 0.6946, 0.7904)  2 Si 1.64-1.65
O (0.5966, 0.3054, 0.7096)  2 Si 1.64-1.65
O (0.9034, 0.3054, 0.2096)  2 Si 1.64-1.65
O (0.3161, 0.3245, 0.3662)  2 Si 1.64-1.65
O (0.1839, 0.3245, 0.8662)  2 Si 1.64-1.65
O (0.6839, 0.6755, 0.6338)  2 Si 1.64-1.65
O (0.8161, 0.6755, 0.1338)  2 Si 1.64-1.65
O (0.2849, 0.4718, 0.1930)  1 Si 1.61
O (0.2151, 0.4718, 0.6930)  1 Si 1.61
O (0.7151, 0.5282, 0.8070)  1 Si 1.61
O (0.7849, 0.5282, 0.3070)  1 Si 1.61
O (0.1612, 0.6409, 0.3069)  2 Si 1.63-1.64
O (0.3388, 0.6409, 0.8069)  2 Si 1.63-1.64
O (0.8388, 0.3591, 0.6931)  2 Si 1.63-1.64
O (0.6612, 0.3591, 0.1931)  2 Si 1.63-1.64
O (0.9737, 0.7748, 0.3904)  1 Si 1.62
O (0.5263, 0.7748, 0.8904)  1 Si 1.62
O (0.0263, 0.2252, 0.6096)  1 Si 1.62
O (0.4737, 0.2252, 0.1096)  1 Si 1.62
O (0.0214, 0.9379, 0.2217)  2 Si 1.64
O (0.4786, 0.9379, 0.7217)  2 Si 1.64
O (0.9786, 0.0621, 0.7783)  2 Si 1.64
O (0.5214, 0.0621, 0.2783)  2 Si 1.64
O (0.1618, 0.0312, 0.3436)  2 Si 1.64
O (0.3382, 0.0312, 0.8436)  2 Si 1.64
O (0.8382, 0.9688, 0.6564)  2 Si 1.64
O (0.6618, 0.9688, 0.1564)  2 Si 1.64
O (0.2105, 0.0632, 0.5073)  1 Si 1.62
O (0.2895, 0.0632, 0.0073)  1 Si 1.62
O (0.7895, 0.9368, 0.4927)  1 Si 1.62
O (0.7105, 0.9368, 0.9927)  1 Si 1.62
O (0.3830, 0.9308, 0.4135)  2 Si 1.65
O (0.1170, 0.9308, 0.9135)  2 Si 1.65
O (0.6170, 0.0692, 0.5865)  2 Si 1.65
O (0.8830, 0.0692, 0.0865)  2 Si 1.65
O (0.5857, 0.7287, 0.4014)  1 Si 1.62
O (0.9143, 0.7287, 0.9014)  1 Si 1.62
O (0.4143, 0.2713, 0.5986)  1 Si 1.62
O (0.0857, 0.2713, 0.0986)  1 Si 1.62
O (0.7075, 0.4864, 0.9878)  1 Sb 1.87
O (0.7925, 0.4864, 0.4878)  1 Sb 1.87
O (0.2925, 0.5136, 0.0122)  1 Sb 1.87
O (0.2075, 0.5136, 0.5122)  1 Sb 1.87

## Properties
Total magnetization: 4.002 μB per cell
Raw total energy: -125.2 eV/f.u.

Record 4
Material: K2HoPCO7
Method: DFT, PBE-GGA
State: optimized geometry

Cell lengths 7.1336, 5.8051, 9.9173 Å; angles 87.74, 90.00, 90.00 degrees
Closest atoms and distances in Å follow each position.
Fractional coordinates of all 24 atoms:
K (0.0119, 0.2455, 0.7751)  4 O 2.56-2.85
K (0.4881, 0.2455, 0.7751)  4 O 2.56-2.85
K (0.5119, 0.7545, 0.2249)  4 O 2.56-2.85
K (0.9881, 0.7545, 0.2249)  4 O 2.56-2.85
Ho (0.7500, 0.7774, 0.6346)  6 O 2.22-2.34
Ho (0.2500, 0.2226, 0.3654)  6 O 2.22-2.34
P (0.2500, 0.7114, 0.5706)  4 O 1.55-1.57
P (0.7500, 0.2886, 0.4294)  4 O 1.55-1.57
C (0.7500, 0.7296, 0.9108)  3 O 1.25-1.33
C (0.2500, 0.2704, 0.0892)  3 O 1.25-1.33
O (0.2500, 0.3011, 0.9635)  1 C 1.25
O (0.7500, 0.9350, 0.8483)  1 C 1.32
O (0.7500, 0.5547, 0.8275)  1 C 1.33
O (0.0696, 0.7691, 0.6497)  1 P 1.55
O (0.4304, 0.7691, 0.6497)  1 P 1.55
O (0.7500, 0.1474, 0.5676)  1 P 1.57
O (0.2500, 0.4477, 0.5416)  1 P 1.57
O (0.7500, 0.5523, 0.4584)  1 P 1.57
O (0.2500, 0.8526, 0.4324)  1 P 1.57
O (0.5696, 0.2309, 0.3503)  1 P 1.55
O (0.9304, 0.2309, 0.3503)  1 P 1.55
O (0.2500, 0.4453, 0.1725)  1 C 1.33
O (0.2500, 0.0650, 0.1517)  1 C 1.32
O (0.7500, 0.6989, 0.0365)  1 C 1.25

## Properties
Total magnetization: 0.006 μB per cell
Raw total energy: -84.8 eV/f.u.

Record 5
Material: CeInNi
Method: DFT, PBE-GGA
State: optimized geometry

Cell lengths 7.3404, 7.3404, 4.0262 Å; angles 90.00, 90.00, 120.00 degrees
Closest atoms and distances in Å follow each position.
Fractional coordinates of all 9 atoms:
Ce (0.0000, 0.5845, 0.0000)  5 Ni 2.99-3.05, 6 In 3.19-3.33
Ce (0.4155, 0.4155, 0.0000)  5 Ni 2.99-3.05, 6 In 3.19-3.33
Ce (0.5845, 0.0000, 0.0000)  5 Ni 2.99-3.05, 6 In 3.19-3.33
In (0.7521, 0.7521, 0.5000)  4 Ni 2.71-2.81
In (0.0000, 0.2479, 0.5000)  4 Ni 2.71-2.81
In (0.2479, 0.0000, 0.5000)  4 Ni 2.71-2.81
Ni (0.3333, 0.6667, 0.5000)  3 In 2.81, 6 Ce 2.99
Ni (0.0000, 0.0000, 0.0000)  6 In 2.71
Ni (0.6667, 0.3333, 0.5000)  3 In 2.81, 6 Ce 2.99

## Properties
Raw total energy: -15.8 eV/f.u.